No. 1
Entry from the Materials Project database: crystalline Na2Mg2SiSn2S5O24 at its relaxed geometry (PBE).

Cell: 8.709 8.724 22.906 Å, 89.83 89.55 60.11°
Atoms (fractional coordinates):
Na  0.000  0.000  0.000
Na  0.003  0.009  0.500
Na  0.319  0.366  0.166
Na  0.347  0.340  0.665
Na  0.657  0.678  0.341
Na  0.672  0.660  0.825
Mg  0.016  0.000  0.357
Mg  0.325  0.352  0.022
Mg  0.337  0.342  0.522
Mg  0.669  0.676  0.487
Mg  0.671  0.666  0.687
Mg  0.997  0.016  0.851
Si  0.298  0.714  0.255
Si  0.714  0.308  0.755
Si  0.967  0.672  0.086
Sn  0.010  0.988  0.152
Sn  0.334  0.353  0.321
Sn  0.345  0.341  0.815
Sn  0.671  0.673  0.189
Sn  0.677  0.676  0.984
Sn  0.992  0.016  0.651
S  0.000  0.719  0.754
S  0.005  0.294  0.253
S  0.038  0.637  0.422
S  0.049  0.337  0.919
S  0.296  0.005  0.753
S  0.335  0.638  0.921
S  0.337  0.052  0.420
S  0.375  0.677  0.586
S  0.375  0.973  0.084
S  0.628  0.051  0.921
S  0.634  0.341  0.421
S  0.669  0.965  0.585
S  0.671  0.377  0.085
S  0.709  0.012  0.255
S  0.964  0.385  0.585
O  0.023  0.812  0.414
O  0.028  0.196  0.197
O  0.032  0.179  0.914
O  0.046  0.785  0.699
O  0.110  0.529  0.365
O  0.124  0.373  0.865
O  0.143  0.361  0.578
O  0.152  0.322  0.971
O  0.156  0.547  0.470
O  0.157  0.501  0.082
O  0.159  0.534  0.759
O  0.168  0.310  0.257
O  0.174  0.042  0.414
O  0.181  0.814  0.914
O  0.189  0.038  0.699
O  0.190  0.844  0.592
O  0.192  0.782  0.193
O  0.193  0.998  0.090
O  0.213  0.834  0.310
O  0.217  0.978  0.806
O  0.303  0.176  0.759
O  0.314  0.165  0.470
O  0.316  0.552  0.973
O  0.323  0.512  0.258
O  0.351  0.522  0.580
O  0.368  0.141  0.076
O  0.370  0.127  0.363
O  0.370  0.530  0.867
O  0.449  0.855  0.032
O  0.451  0.708  0.533
O  0.474  0.857  0.745
O  0.477  0.657  0.639
O  0.480  0.891  0.138
O  0.495  0.875  0.424
O  0.499  0.692  0.247
O  0.503  0.654  0.926
O  0.512  0.324  0.755
O  0.515  0.146  0.580
O  0.519  0.127  0.867
O  0.520  0.353  0.078
O  0.526  0.166  0.259
O  0.527  0.375  0.364
O  0.540  0.157  0.973
O  0.544  0.315  0.470
O  0.634  0.490  0.138
O  0.638  0.871  0.923
O  0.649  0.884  0.639
O  0.650  0.501  0.426
O  0.686  0.502  0.747
O  0.695  0.860  0.533
O  0.697  0.848  0.248
O  0.703  0.457  0.032
O  0.776  0.050  0.199
O  0.784  0.184  0.694
O  0.806  0.025  0.915
O  0.808  0.181  0.412
O  0.817  0.990  0.305
O  0.823  0.217  0.812
O  0.839  0.207  0.093
O  0.839  0.719  0.028
O  0.839  0.978  0.588
O  0.840  0.707  0.746
O  0.847  0.475  0.248
O  0.855  0.463  0.533
O  0.862  0.654  0.427
O  0.865  0.500  0.922
O  0.874  0.643  0.145
O  0.883  0.485  0.638
O  0.970  0.861  0.088
O  0.975  0.214  0.304
O  0.984  0.819  0.806
O  0.985  0.199  0.589

Values from the calculation:
Its spin magnetization is 0.000 μB/cell. As for the energy with MP2020 corrections: -238.08 eV/f.u. Its space-group type is P1 (1). The crystal system is triclinic.

No. 2
Entry from the Materials Project database: crystalline Na6MgSi6Sn7S6O48 at its relaxed geometry (PBE).

Cell: 8.867 15.398 22.991 Å, 89.81 89.88 89.97°
Atoms (fractional coordinates):
Na  0.000  0.000  0.000
Na  0.000  0.338  0.669
Na  0.005  0.674  0.842
Na  0.154  0.512  0.757
Na  0.194  0.820  0.756
Na  0.328  0.316  0.257
Na  0.370  0.013  0.251
Na  0.500  0.837  0.172
Na  0.504  0.175  0.835
Na  0.504  0.511  0.994
Na  0.507  0.845  0.674
Na  0.509  0.177  0.328
Na  0.511  0.496  0.501
Na  0.826  0.823  0.253
Na  0.863  0.511  0.255
Na  0.989  0.006  0.501
Na  0.992  0.331  0.173
Na  0.998  0.680  0.333
Mg  0.004  0.679  0.190
Mg  0.007  0.673  0.689
Mg  0.507  0.174  0.194
Si  0.145  0.155  0.254
Si  0.150  0.487  0.921
Si  0.152  0.858  0.254
Si  0.213  0.843  0.921
Si  0.294  0.010  0.752
Si  0.295  0.340  0.420
Si  0.357  0.359  0.755
Si  0.362  0.654  0.751
Si  0.647  0.695  0.918
Si  0.648  0.031  0.587
Si  0.648  0.651  0.253
Si  0.650  0.987  0.918
Si  0.652  0.360  0.252
Si  0.654  0.324  0.589
Si  0.710  0.011  0.253
Si  0.711  0.341  0.919
Si  0.801  0.845  0.419
Si  0.860  0.488  0.419
Sn  0.001  0.009  0.651
Sn  0.002  0.339  0.320
Sn  0.002  0.676  0.979
Sn  0.004  0.344  0.821
Sn  0.007  0.007  0.158
Sn  0.009  0.003  0.858
Sn  0.493  0.507  0.859
Sn  0.497  0.503  0.655
Sn  0.497  0.840  0.820
Sn  0.505  0.175  0.690
Sn  0.509  0.842  0.013
Sn  0.510  0.183  0.487
Sn  0.512  0.511  0.153
Sn  0.512  0.838  0.315
Sn  0.515  0.173  0.982
Sn  0.516  0.848  0.523
Sn  0.517  0.500  0.358
Sn  0.993  0.674  0.481
Sn  0.996  0.004  0.351
Sn  0.997  0.346  0.520
Sn  0.998  0.345  0.019
S  0.149  0.532  0.587
S  0.150  0.195  0.922
S  0.150  0.819  0.585
S  0.210  0.175  0.586
S  0.216  0.510  0.253
S  0.295  0.674  0.088
S  0.356  0.321  0.087
S  0.357  0.989  0.421
S  0.358  0.029  0.087
S  0.360  0.697  0.422
S  0.712  0.674  0.588
S  0.796  0.509  0.752
S  0.801  0.174  0.087
S  0.855  0.861  0.751
S  0.857  0.822  0.087
S  0.858  0.192  0.421
S  0.859  0.529  0.088
S  0.860  0.154  0.755
O  0.064  0.118  0.195
O  0.067  0.898  0.311
O  0.068  0.580  0.928
O  0.072  0.766  0.246
O  0.075  0.254  0.259
O  0.075  0.450  0.861
O  0.079  0.109  0.916
O  0.081  0.443  0.582
O  0.082  0.233  0.975
O  0.083  0.778  0.533
O  0.083  0.908  0.588
O  0.084  0.571  0.639
O  0.107  0.930  0.918
O  0.109  0.757  0.927
O  0.111  0.096  0.591
O  0.111  0.253  0.580
O  0.115  0.584  0.244
O  0.119  0.585  0.533
O  0.121  0.429  0.257
O  0.123  0.769  0.638
O  0.126  0.092  0.312
O  0.130  0.248  0.868
O  0.131  0.424  0.979
O  0.144  0.923  0.196
O  0.167  0.352  0.761
O  0.178  0.665  0.744
O  0.184  0.028  0.808
O  0.186  0.328  0.081
O  0.186  0.986  0.695
O  0.188  0.019  0.089
O  0.191  0.999  0.416
O  0.192  0.352  0.479
O  0.193  0.690  0.429
O  0.200  0.324  0.360
O  0.201  0.683  0.139
O  0.205  0.661  0.034
O  0.297  0.825  0.859
O  0.298  0.189  0.638
O  0.300  0.158  0.533
O  0.305  0.524  0.305
O  0.309  0.490  0.199
O  0.310  0.862  0.980
O  0.316  0.186  0.929
O  0.316  0.524  0.589
O  0.319  0.826  0.578
O  0.324  0.164  0.246
O  0.330  0.495  0.919
O  0.335  0.858  0.263
O  0.360  0.422  0.696
O  0.378  0.932  0.473
O  0.380  0.588  0.806
O  0.380  0.752  0.369
O  0.384  0.084  0.033
O  0.385  0.270  0.139
O  0.392  0.431  0.415
O  0.393  0.592  0.091
O  0.393  0.920  0.757
O  0.395  0.752  0.083
O  0.399  0.095  0.746
O  0.401  0.251  0.426
O  0.419  0.070  0.138
O  0.421  0.411  0.091
O  0.422  0.281  0.033
O  0.422  0.949  0.368
O  0.427  0.611  0.416
O  0.427  0.738  0.475
O  0.429  0.941  0.081
O  0.431  0.074  0.428
O  0.434  0.264  0.747
O  0.435  0.403  0.810
O  0.437  0.752  0.756
O  0.440  0.613  0.692
O  0.562  0.400  0.308
O  0.565  0.081  0.925
O  0.565  0.617  0.194
O  0.570  0.933  0.584
O  0.571  0.731  0.979
O  0.572  0.269  0.243
O  0.574  0.072  0.645
O  0.575  0.287  0.530
O  0.575  0.600  0.912
O  0.576  0.946  0.860
O  0.579  0.749  0.257
O  0.580  0.422  0.594
O  0.596  0.089  0.245
O  0.601  0.256  0.926
O  0.610  0.921  0.259
O  0.612  0.753  0.582
O  0.616  0.429  0.912
O  0.616  0.596  0.592
O  0.618  0.590  0.310
O  0.622  0.087  0.527
O  0.627  0.263  0.645
O  0.630  0.757  0.862
O  0.639  0.426  0.194
O  0.639  0.932  0.979
O  0.678  0.503  0.418
O  0.688  0.831  0.082
O  0.690  0.519  0.089
O  0.691  0.182  0.425
O  0.692  0.854  0.756
O  0.696  0.162  0.750
O  0.699  0.859  0.477
O  0.700  0.825  0.361
O  0.706  0.188  0.138
O  0.707  0.493  0.699
O  0.707  0.521  0.805
O  0.712  0.162  0.033
O  0.802  0.662  0.533
O  0.806  0.029  0.311
O  0.806  0.355  0.979
O  0.808  0.688  0.638
O  0.812  0.981  0.196
O  0.816  0.316  0.862
O  0.829  0.688  0.926
O  0.830  0.657  0.246
O  0.833  0.005  0.911
O  0.836  0.018  0.593
O  0.837  0.361  0.259
O  0.842  0.329  0.583
O  0.878  0.429  0.477
O  0.879  0.246  0.368
O  0.879  0.916  0.698
O  0.885  0.771  0.140
O  0.889  0.100  0.806
O  0.890  0.580  0.035
O  0.896  0.429  0.756
O  0.898  0.585  0.744
O  0.899  0.095  0.090
O  0.901  0.254  0.081
O  0.906  0.933  0.416
O  0.908  0.759  0.426
O  0.919  0.568  0.141
O  0.922  0.232  0.474
O  0.923  0.781  0.035
O  0.927  0.117  0.700
O  0.928  0.439  0.084
O  0.928  0.911  0.090
O  0.929  0.900  0.803
O  0.930  0.448  0.359
O  0.930  0.776  0.743
O  0.932  0.107  0.416
O  0.933  0.242  0.759
O  0.948  0.582  0.424

Values from the calculation:
Its spin magnetization is 0.000 μB/cell. As for the energy with MP2020 corrections: -502.17 eV/f.u. Its space-group type is P1 (1). The crystal system is triclinic.

No. 3
Entry from the Materials Project database: crystalline Na4MgSi3Sn3S3O24 at its relaxed geometry (PBE).

Cell: 8.928 8.941 22.802 Å, 90.10 90.37 119.88°
Atoms (fractional coordinates):
Na  0.000  0.000  0.000
Na  0.002  0.024  0.508
Na  0.345  0.704  0.182
Na  0.350  0.698  0.671
Na  0.359  0.049  0.915
Na  0.362  0.341  0.424
Na  0.653  0.666  0.266
Na  0.694  0.356  0.836
Na  0.707  0.360  0.343
Na  0.722  0.060  0.430
Na  0.972  0.324  0.914
Na  0.975  0.670  0.420
Mg  0.348  0.690  0.319
Mg  0.691  0.357  0.982
Mg  0.701  0.356  0.487
Si  0.025  0.321  0.756
Si  0.030  0.732  0.254
Si  0.052  0.688  0.922
Si  0.066  0.402  0.420
Si  0.310  0.029  0.753
Si  0.643  0.682  0.418
Si  0.649  0.980  0.921
Si  0.683  0.055  0.584
Si  0.716  0.018  0.254
Sn  0.002  0.018  0.357
Sn  0.011  0.014  0.853
Sn  0.013  0.013  0.157
Sn  0.019  0.033  0.652
Sn  0.339  0.701  0.815
Sn  0.360  0.703  0.018
Sn  0.363  0.687  0.522
Sn  0.684  0.332  0.691
Sn  0.698  0.358  0.193
S  0.311  0.314  0.253
S  0.352  0.981  0.420
S  0.356  0.400  0.922
S  0.391  0.066  0.087
S  0.398  0.355  0.587
S  0.682  0.645  0.087
S  0.721  0.723  0.752
S  0.978  0.648  0.588
S  0.987  0.355  0.086
O  0.005  0.198  0.093
O  0.051  0.233  0.698
O  0.053  0.872  0.915
O  0.060  0.210  0.416
O  0.062  0.846  0.194
O  0.140  0.639  0.868
O  0.153  0.665  0.584
O  0.154  0.528  0.366
O  0.163  0.511  0.082
O  0.181  0.987  0.697
O  0.182  0.740  0.981
O  0.185  0.478  0.481
O  0.187  0.700  0.258
O  0.194  0.000  0.413
O  0.196  0.226  0.918
O  0.206  0.234  0.199
O  0.206  0.504  0.761
O  0.216  0.050  0.092
O  0.224  0.194  0.592
O  0.229  0.051  0.816
O  0.237  0.206  0.306
O  0.311  0.871  0.474
O  0.318  0.475  0.976
O  0.331  0.485  0.258
O  0.337  0.862  0.755
O  0.372  0.508  0.586
O  0.373  0.889  0.086
O  0.384  0.506  0.870
O  0.384  0.904  0.369
O  0.471  0.164  0.034
O  0.478  0.338  0.534
O  0.487  0.332  0.246
O  0.496  0.208  0.750
O  0.497  0.149  0.141
O  0.502  0.156  0.429
O  0.504  0.374  0.932
O  0.504  0.859  0.584
O  0.505  0.383  0.641
O  0.519  0.885  0.865
O  0.523  0.663  0.084
O  0.534  0.654  0.359
O  0.538  0.842  0.257
O  0.550  0.706  0.761
O  0.570  0.740  0.475
O  0.580  0.862  0.981
O  0.650  0.136  0.644
O  0.655  0.163  0.929
O  0.660  0.548  0.143
O  0.662  0.512  0.429
O  0.699  0.193  0.248
O  0.701  0.556  0.036
O  0.707  0.551  0.745
O  0.710  0.162  0.525
O  0.801  0.834  0.701
O  0.806  0.989  0.194
O  0.828  0.794  0.808
O  0.834  0.553  0.247
O  0.840  0.821  0.090
O  0.841  0.068  0.312
O  0.843  0.857  0.418
O  0.846  0.013  0.916
O  0.857  0.032  0.592
O  0.858  0.351  0.752
O  0.869  0.366  0.426
O  0.869  0.519  0.930
O  0.877  0.572  0.534
O  0.880  0.329  0.034
O  0.895  0.544  0.642
O  0.910  0.385  0.140
O  0.983  0.816  0.311
O  0.986  0.205  0.817
O  0.998  0.825  0.593

Values from the calculation:
Its spin magnetization is 0.000 μB/cell. As for the energy with MP2020 corrections: -254.54 eV/f.u. Its space-group type is P1 (1). The crystal system is triclinic.